(1)
{"formula": "Li6Co5O10", "functional": "GGA+U", "state": "relaxed", "de_polymorph_ev_per_atom": 0.016, "space_group": "P1, No. 1", "m_tot_mub_per_cell": 13.00, "delta_e_f_ev_per_atom": -1.627, "energy_mp2020_ha_per_atom": -0.22862, "vol_a3_per_atom": 12.030, "cell": [[5.456, 0.000, 0.000], [2.412, 5.786, 0.000], [1.796, 0.839, 8.004]], "species": ["Li", "Li", "Li", "Li", "Li", "Li", "Co", "Co", "Co", "Co", "Co", "O", "O", "O", "O", "O", "O", "O", "O", "O", "O"], "fractional_positions": [[0.543, 0.710, 0.724], [0.533, 0.575, 0.367], [0.537, 0.134, 0.550], [0.459, 0.663, 0.053], [0.457, 0.084, 0.872], [0.463, 0.236, 0.238], [0.999, 0.896, 0.801], [0.999, 0.699, 0.390], [0.995, 0.297, 0.595], [0.004, 0.505, 0.003], [0.003, 0.106, 0.209], [0.745, 0.752, 0.893], [0.755, 0.995, 0.345], [0.744, 0.593, 0.516], [0.746, 0.144, 0.712], [0.745, 0.398, 0.158], [0.255, 0.640, 0.899], [0.246, 0.812, 0.249], [0.262, 0.415, 0.439], [0.253, 0.029, 0.713], [0.257, 0.217, 0.076]]}



(2)
{"formula": "Ca7MgCo8O24", "functional": "GGA+U", "state": "relaxed", "space_group": "Pm-3m, No. 221", "m_tot_mub_per_cell": 10.94, "delta_e_f_ev_per_atom": -1.848, "energy_mp2020_ha_per_atom": -0.24361, "vol_a3_per_atom": 10.750, "cell": [[-2.290, -5.430, -4.716], [7.180, -2.014, -1.168], [-0.419, -4.840, 5.777]], "species": ["Ca", "Ca", "Ca", "Ca", "Ca", "Ca", "Ca", "Mg", "Co", "Co", "Co", "Co", "Co", "Co", "Co", "Co", "O", "O", "O", "O", "O", "O", "O", "O", "O", "O", "O", "O", "O", "O", "O", "O", "O", "O", "O", "O", "O", "O", "O", "O"], "fractional_positions": [[0.500, 0.000, 0.500], [0.500, 0.000, 0.000], [0.500, 0.500, 0.000], [0.000, 0.000, 0.500], [0.000, 0.000, 0.000], [0.000, 0.500, 0.500], [0.000, 0.500, 0.000], [0.500, 0.500, 0.500], [0.250, 0.750, 0.250], [0.250, 0.750, 0.750], [0.250, 0.250, 0.250], [0.250, 0.250, 0.750], [0.750, 0.750, 0.250], [0.750, 0.750, 0.750], [0.750, 0.250, 0.250], [0.750, 0.250, 0.750], [0.500, 0.749, 0.251], [0.500, 0.749, 0.749], [0.500, 0.251, 0.251], [0.500, 0.251, 0.749], [0.000, 0.750, 0.250], [0.000, 0.750, 0.750], [0.000, 0.250, 0.250], [0.000, 0.250, 0.750], [0.250, 0.000, 0.250], [0.250, 0.000, 0.750], [0.251, 0.500, 0.251], [0.251, 0.500, 0.749], [0.750, 0.000, 0.250], [0.750, 0.000, 0.750], [0.749, 0.500, 0.251], [0.749, 0.500, 0.749], [0.251, 0.749, 0.500], [0.250, 0.750, 0.000], [0.251, 0.251, 0.500], [0.250, 0.250, 0.000], [0.749, 0.749, 0.500], [0.750, 0.750, 0.000], [0.749, 0.251, 0.500], [0.750, 0.250, 0.000]]}



(3)
{"formula": "Na2NiAsCO7", "functional": "GGA+U", "state": "relaxed", "space_group": "P2_1/m, No. 11", "m_tot_mub_per_cell": 2.00, "delta_e_f_ev_per_atom": -1.766, "energy_mp2020_ha_per_atom": -0.23929, "vol_a3_per_atom": 13.453, "cell": [[-4.773, -0.872, 4.637], [2.138, -4.643, 1.327], [5.392, 3.837, 6.271]], "species": ["Na", "Na", "Na", "Na", "Ni", "Ni", "As", "As", "C", "C", "O", "O", "O", "O", "O", "O", "O", "O", "O", "O", "O", "O", "O", "O"], "fractional_positions": [[0.505, 0.767, 0.767], [0.995, 0.767, 0.767], [0.495, 0.233, 0.233], [0.005, 0.233, 0.233], [0.250, 0.214, 0.653], [0.750, 0.786, 0.347], [0.750, 0.290, 0.573], [0.250, 0.710, 0.427], [0.250, 0.281, 0.922], [0.750, 0.719, 0.078], [0.750, 0.713, 0.940], [0.250, 0.063, 0.858], [0.250, 0.477, 0.833], [0.950, 0.209, 0.682], [0.550, 0.209, 0.682], [0.250, 0.846, 0.594], [0.750, 0.621, 0.544], [0.250, 0.379, 0.456], [0.750, 0.154, 0.406], [0.450, 0.791, 0.318], [0.050, 0.791, 0.318], [0.750, 0.523, 0.167], [0.750, 0.937, 0.142], [0.250, 0.287, 0.060]]}



(4)
{"formula": "Mg14VBiO16", "functional": "GGA+U", "state": "relaxed", "de_polymorph_ev_per_atom": 0.004, "space_group": "Pmmm, No. 47", "m_tot_mub_per_cell": 3.48, "delta_e_f_ev_per_atom": -2.712, "energy_mp2020_ha_per_atom": -0.23121, "vol_a3_per_atom": 10.596, "cell": [[-3.431, -0.662, -7.953], [-0.875, -8.741, 1.105], [-4.027, 0.616, 1.686]], "species": ["Mg", "Mg", "Mg", "Mg", "Mg", "Mg", "Mg", "Mg", "Mg", "Mg", "Mg", "Mg", "Mg", "Mg", "V", "Bi", "O", "O", "O", "O", "O", "O", "O", "O", "O", "O", "O", "O", "O", "O", "O", "O"], "fractional_positions": [[0.500, 0.000, 0.000], [0.500, 0.500, 0.000], [0.000, 0.237, 0.500], [0.000, 0.763, 0.500], [0.500, 0.247, 0.500], [0.500, 0.753, 0.500], [0.253, 0.000, 0.500], [0.264, 0.500, 0.500], [0.747, 0.000, 0.500], [0.736, 0.500, 0.500], [0.257, 0.242, 0.000], [0.257, 0.758, 0.000], [0.743, 0.242, 0.000], [0.743, 0.758, 0.000], [0.000, 0.000, 0.000], [0.000, 0.500, 0.000], [0.257, 0.000, 0.000], [0.270, 0.500, 0.000], [0.743, 0.000, 0.000], [0.730, 0.500, 0.000], [0.249, 0.251, 0.500], [0.249, 0.749, 0.500], [0.751, 0.251, 0.500], [0.751, 0.749, 0.500], [0.000, 0.000, 0.500], [0.000, 0.500, 0.500], [0.500, 0.000, 0.500], [0.500, 0.500, 0.500], [0.000, 0.234, 0.000], [0.000, 0.766, 0.000], [0.500, 0.247, 0.000], [0.500, 0.753, 0.000]]}



(5)
{"formula": "KLiW3O9", "functional": "GGA+U", "state": "relaxed", "de_polymorph_ev_per_atom": 0.000, "space_group": "P1, No. 1", "m_tot_mub_per_cell": 4.00, "delta_e_f_ev_per_atom": -2.210, "energy_mp2020_ha_per_atom": -0.30809, "vol_a3_per_atom": 14.225, "cell": [[7.626, 0.000, 0.000], [-3.783, 6.624, 0.000], [-0.001, -0.001, 7.885]], "species": ["K", "K", "Li", "Li", "W", "W", "W", "W", "W", "W", "O", "O", "O", "O", "O", "O", "O", "O", "O", "O", "O", "O", "O", "O", "O", "O", "O", "O"], "fractional_positions": [[0.994, 0.997, 0.269], [0.997, 0.003, 0.767], [0.591, 0.299, 0.251], [0.296, 0.698, 0.749], [0.995, 0.497, 0.498], [0.995, 0.496, 0.002], [0.497, 0.503, 0.502], [0.499, 0.503, 0.998], [0.500, 0.999, 0.000], [0.501, 0.000, 0.500], [0.995, 0.496, 0.750], [0.796, 0.216, 0.008], [0.798, 0.216, 0.492], [0.793, 0.577, 0.493], [0.499, 0.003, 0.743], [0.797, 0.580, 0.006], [0.424, 0.204, 0.017], [0.424, 0.221, 0.483], [0.498, 0.495, 0.757], [0.499, 0.504, 0.242], [0.584, 0.801, 0.990], [0.584, 0.785, 0.509], [0.204, 0.423, 0.507], [0.499, 0.997, 0.258], [0.201, 0.421, 0.994], [0.207, 0.780, 0.984], [0.204, 0.780, 0.514], [0.002, 0.504, 0.250]]}



(6)
{"formula": "Li5Sc2Fe3Si10O30", "functional": "GGA+U", "state": "relaxed", "space_group": "C2, No. 5", "m_tot_mub_per_cell": 30.00, "delta_e_f_ev_per_atom": -2.988, "energy_mp2020_ha_per_atom": -0.29377, "vol_a3_per_atom": 11.072, "cell": [[22.264, 4.936, 0.000], [-22.264, 4.936, 0.000], [0.000, 1.892, 5.038]], "species": ["Li", "Li", "Li", "Li", "Li", "Li", "Li", "Li", "Li", "Li", "Sc", "Sc", "Sc", "Sc", "Fe", "Fe", "Fe", "Fe", "Fe", "Fe", "Si", "Si", "Si", "Si", "Si", "Si", "Si", "Si", "Si", "Si", "Si", "Si", "Si", "Si", "Si", "Si", "Si", "Si", "Si", "Si", "O", "O", "O", "O", "O", "O", "O", "O", "O", "O", "O", "O", "O", "O", "O", "O", "O", "O", "O", "O", "O", "O", "O", "O", "O", "O", "O", "O", "O", "O", "O", "O", "O", "O", "O", "O", "O", "O", "O", "O", "O", "O", "O", "O", "O", "O", "O", "O", "O", "O", "O", "O", "O", "O", "O", "O", "O", "O", "O", "O"], "fractional_positions": [[0.350, 0.650, 0.000], [0.451, 0.549, 0.500], [0.250, 0.750, 0.500], [0.051, 0.949, 0.500], [0.150, 0.850, 0.000], [0.851, 0.149, 0.500], [0.750, 0.250, 0.000], [0.551, 0.449, 0.000], [0.951, 0.049, 0.000], [0.649, 0.351, 0.500], [0.179, 0.821, 0.500], [0.380, 0.620, 0.500], [0.779, 0.221, 0.500], [0.980, 0.020, 0.500], [0.422, 0.578, 0.000], [0.221, 0.779, 0.000], [0.022, 0.978, 0.000], [0.621, 0.379, 0.000], [0.821, 0.179, 0.000], [0.579, 0.421, 0.500], [0.685, 0.719, 0.023], [0.715, 0.879, 0.479], [0.521, 0.886, 0.521], [0.680, 0.915, 0.975], [0.484, 0.920, 0.025], [0.080, 0.516, 0.975], [0.281, 0.315, 0.977], [0.878, 0.714, 0.981], [0.884, 0.520, 0.024], [0.085, 0.320, 0.025], [0.114, 0.479, 0.479], [0.911, 0.678, 0.482], [0.921, 0.486, 0.520], [0.720, 0.683, 0.519], [0.121, 0.285, 0.521], [0.514, 0.079, 0.480], [0.322, 0.089, 0.518], [0.480, 0.116, 0.976], [0.286, 0.122, 0.019], [0.317, 0.280, 0.481], [0.756, 0.956, 0.691], [0.821, 0.920, 0.410], [0.750, 0.951, 0.197], [0.864, 0.897, 0.911], [0.448, 0.850, 0.803], [0.649, 0.649, 0.803], [0.480, 0.780, 0.590], [0.283, 0.983, 0.583], [0.536, 0.700, 0.604], [0.335, 0.900, 0.605], [0.444, 0.844, 0.309], [0.377, 0.879, 0.089], [0.578, 0.679, 0.087], [0.301, 0.936, 0.088], [0.502, 0.735, 0.088], [0.351, 0.351, 0.197], [0.265, 0.498, 0.912], [0.064, 0.699, 0.912], [0.919, 0.821, 0.913], [0.121, 0.623, 0.911], [0.321, 0.422, 0.913], [0.952, 0.752, 0.696], [0.156, 0.556, 0.691], [0.100, 0.665, 0.395], [0.899, 0.863, 0.396], [0.300, 0.464, 0.396], [0.220, 0.520, 0.410], [0.017, 0.717, 0.417], [0.951, 0.753, 0.197], [0.150, 0.552, 0.197], [0.044, 0.244, 0.309], [0.844, 0.444, 0.308], [0.978, 0.279, 0.089], [0.777, 0.479, 0.087], [0.699, 0.534, 0.100], [0.103, 0.136, 0.089], [0.902, 0.336, 0.088], [0.848, 0.450, 0.804], [0.049, 0.250, 0.803], [0.080, 0.179, 0.590], [0.880, 0.380, 0.588], [0.678, 0.576, 0.588], [0.731, 0.499, 0.602], [0.935, 0.300, 0.604], [0.644, 0.643, 0.308], [0.501, 0.269, 0.398], [0.700, 0.065, 0.396], [0.424, 0.322, 0.412], [0.620, 0.120, 0.412], [0.550, 0.152, 0.196], [0.466, 0.301, 0.900], [0.664, 0.098, 0.912], [0.721, 0.022, 0.911], [0.521, 0.223, 0.913], [0.357, 0.356, 0.692], [0.556, 0.156, 0.692], [0.137, 0.101, 0.604], [0.248, 0.048, 0.304], [0.179, 0.081, 0.087], [0.247, 0.049, 0.803]]}